(1)
DFT (PBE-GGA) results for an optimized crystal structure of Li2SmAl.

Lattice parameters (Å, degrees): 4.8118 4.8118 4.8118 60.00 60.00 60.00
Element x y z (fractional)
Li 0.2500 0.2500 0.2500
Li 0.7500 0.7500 0.7500
Sm 0.0000 0.0000 0.0000
Al 0.5000 0.5000 0.5000

Output
Magnetization = 0.000 μB per atom
Formation enthalpy at 0 K = -71 kJ/mol of formula units
Energy = -13.022 eV for the cell shown

(2)
DFT (PBE-GGA) results for an optimized crystal structure of Li2ZrAl.

Lattice parameters (Å, degrees): 4.6476 4.6476 4.6476 60.00 60.00 60.00
Element x y z (fractional)
Li 0.0000 0.0000 0.0000
Li 0.2500 0.2500 0.2500
Zr 0.5000 0.5000 0.5000
Al 0.7500 0.7500 0.7500

Output
Magnetization = 0.003 μB per atom
Formation enthalpy at 0 K = -7 kJ/mol of formula units
Energy = -16.179 eV for the cell shown

(3)
DFT (PBE-GGA) results for an optimized crystal structure of Lu4Al.

Lattice parameters (Å, degrees): 7.7143 7.7143 7.7143 60.00 60.00 60.00
Element x y z (fractional)
Lu 0.1918 0.7694 0.7694
Lu 0.2306 0.2306 0.2306
Lu 0.2306 0.2306 0.8082
Lu 0.2306 0.8082 0.2306
Lu 0.7694 0.1918 0.7694
Lu 0.7694 0.7694 0.1918
Lu 0.7694 0.7694 0.7694
Lu 0.8082 0.2306 0.2306
Al 0.3750 0.3750 0.3750
Al 0.6250 0.6250 0.6250

Output
Magnetization = 0.153 μB per atom
Formation enthalpy at 0 K = 258 kJ/mol of formula units
Energy = -38.319 eV for the cell shown

(4)
DFT (PBE-GGA) results for an optimized crystal structure of Lu3Al.

Lattice parameters (Å, degrees): 6.6520 6.6520 5.2676 90.00 90.00 120.00
Element x y z (fractional)
Lu 0.1719 0.3439 0.2500
Lu 0.1719 0.8281 0.2500
Lu 0.3439 0.1719 0.7500
Lu 0.6561 0.8281 0.2500
Lu 0.8281 0.1719 0.7500
Lu 0.8281 0.6561 0.7500
Al 0.3333 0.6667 0.7500
Al 0.6667 0.3333 0.2500

Output
Formation enthalpy at 0 K = -77 kJ/mol of formula units
Energy = -36.204 eV for the cell shown

(5)
DFT (PBE-GGA) results for an optimized crystal structure of Lu3Al.

Lattice parameters (Å, degrees): 4.6625 4.6625 4.6625 90.00 90.00 90.00
Element x y z (fractional)
Lu 0.0000 0.0000 0.5000
Lu 0.0000 0.5000 0.0000
Lu 0.5000 0.0000 0.0000
Al 0.5000 0.5000 0.5000

Output
Formation enthalpy at 0 K = -75 kJ/mol of formula units
Energy = -18.085 eV for the cell shown

(6)
DFT (PBE-GGA) results for an optimized crystal structure of LuMg16Al12.

Lattice parameters (Å, degrees): 9.2658 9.2658 9.2658 110.43 110.43 110.43
Element x y z (fractional)
Lu 0.0000 0.0000 0.0000
Mg 0.0572 0.0572 0.6547
Mg 0.0572 0.6547 0.0572
Mg 0.0926 0.7629 0.7629
Mg 0.3703 0.6828 0.9780
Mg 0.3703 0.9780 0.6828
Mg 0.3744 0.3744 0.3744
Mg 0.3768 0.3768 0.7168
Mg 0.3768 0.7168 0.3768
Mg 0.6547 0.0572 0.0572
Mg 0.6828 0.3703 0.9780
Mg 0.6828 0.9780 0.3703
Mg 0.7168 0.3768 0.3768
Mg 0.7629 0.0925 0.7629
Mg 0.7629 0.7629 0.0926
Mg 0.9780 0.3703 0.6828
Mg 0.9780 0.6828 0.3703
Al 0.0079 0.1861 0.3677
Al 0.0079 0.3677 0.1861
Al 0.1861 0.0079 0.3677
Al 0.1861 0.3677 0.0079
Al 0.1975 0.5621 0.5621
Al 0.3677 0.0079 0.1861
Al 0.3677 0.1861 0.0079
Al 0.5621 0.1975 0.5621
Al 0.5621 0.5621 0.1975
Al 0.5636 0.7429 0.7429
Al 0.7429 0.5636 0.7429
Al 0.7429 0.7429 0.5636

Output
Magnetization = 0.000 μB per atom
ΔE to the lowest computed polymorph = 0.0086 eV per atom
Formation enthalpy at 0 K = -163 kJ/mol of formula units
Energy = -76.760 eV for the cell shown

(7)
DFT (PBE-GGA) results for an optimized crystal structure of Lu2MgAl.

Lattice parameters (Å, degrees): 5.0977 5.0977 5.0977 60.00 60.00 60.00
Element x y z (fractional)
Lu 0.2500 0.2500 0.2500
Lu 0.7500 0.7500 0.7500
Mg 0.0000 0.0000 0.0000
Al 0.5000 0.5000 0.5000

Output
Formation enthalpy at 0 K = -94 kJ/mol of formula units
Energy = -15.358 eV for the cell shown

(8)
DFT (PBE-GGA) results for an optimized crystal structure of LuMg16Al12.

Lattice parameters (Å, degrees): 9.1178 9.1178 9.1178 109.47 109.47 109.47
Element x y z (fractional)
Lu 0.0000 0.0000 0.0000
Mg 0.0000 0.0000 0.3549
Mg 0.0000 0.3188 0.6032
Mg 0.0000 0.3549 0.0000
Mg 0.0000 0.6032 0.3188
Mg 0.2845 0.6812 0.6812
Mg 0.3188 0.0000 0.6032
Mg 0.3188 0.6032 0.0000
Mg 0.3549 0.0000 0.0000
Mg 0.3968 0.3968 0.7155
Mg 0.3968 0.7155 0.3968
Mg 0.6032 0.0000 0.3188
Mg 0.6032 0.3188 0.0000
Mg 0.6451 0.6451 0.6451
Mg 0.6812 0.2845 0.6812
Mg 0.6812 0.6812 0.2845
Mg 0.7155 0.3968 0.3968
Al 0.0000 0.6333 0.8140
Al 0.0000 0.8140 0.6333
Al 0.1806 0.3667 0.3667
Al 0.1860 0.1860 0.8194
Al 0.1860 0.8194 0.1860
Al 0.3667 0.1806 0.3667
Al 0.3667 0.3667 0.1806
Al 0.6333 0.0000 0.8140
Al 0.6333 0.8140 0.0000
Al 0.8140 0.0000 0.6333
Al 0.8140 0.6333 0.0000
Al 0.8194 0.1860 0.1860

Output
Magnetization = 0.000 μB per atom
ΔE to the lowest computed polymorph = 0.0000 eV per atom
Formation enthalpy at 0 K = -187 kJ/mol of formula units
Energy = -77.008 eV for the cell shown

(9)
DFT (PBE-GGA) results for an optimized crystal structure of LuMn4Al8.

Lattice parameters (Å, degrees): 6.6778 6.6778 6.6778 98.50 98.50 134.78
Element x y z (fractional)
Lu 0.0000 0.0000 0.0000
Mn 0.0000 0.0000 0.5000
Mn 0.0000 0.5000 0.0000
Mn 0.5000 0.0000 0.0000
Mn 0.5000 0.5000 0.5000
Al 0.0000 0.3351 0.3351
Al 0.0000 0.6649 0.6649
Al 0.2760 0.5000 0.7760
Al 0.3351 0.0000 0.3351
Al 0.5000 0.2760 0.7760
Al 0.5000 0.7240 0.2240
Al 0.6649 0.0000 0.6649
Al 0.7240 0.5000 0.2240

Output
Formation enthalpy at 0 K = -424 kJ/mol of formula units
Energy = -75.529 eV for the cell shown

(10)
DFT (PBE-GGA) results for an optimized crystal structure of Lu3AlN.

Lattice parameters (Å, degrees): 4.6373 4.6373 4.6373 90.00 90.00 90.00
Element x y z (fractional)
Lu 0.0000 0.0000 0.5000
Lu 0.0000 0.5000 0.0000
Lu 0.5000 0.0000 0.0000
Al 0.5000 0.5000 0.5000
N 0.0000 0.0000 0.0000

Output
Formation enthalpy at 0 K = -499 kJ/mol of formula units
Total energy after the MP2020 corrections = -30.8 eV for the cell shown
Energy = -30.457 eV for the cell shown

(11)
DFT (PBE-GGA) results for an optimized crystal structure of Lu6Nb4Al43.

Lattice parameters (Å, degrees): 11.1103 11.1103 17.6037 90.00 90.00 120.00
Element x y z (fractional)
Lu 0.0000 0.4694 0.0961
Lu 0.0000 0.4694 0.4039
Lu 0.0000 0.5306 0.5961
Lu 0.0000 0.5306 0.9039
Lu 0.4694 0.0000 0.0961
Lu 0.4694 0.0000 0.4039
Lu 0.4694 0.4694 0.5961
Lu 0.4694 0.4694 0.9039
Lu 0.5306 0.0000 0.5961
Lu 0.5306 0.0000 0.9039
Lu 0.5306 0.5306 0.0961
Lu 0.5306 0.5306 0.4039
Nb 0.0000 0.0000 0.0000
Nb 0.0000 0.0000 0.5000
Nb 0.0000 0.2749 0.2500
Nb 0.0000 0.7251 0.7500
Nb 0.2749 0.0000 0.2500
Nb 0.2749 0.2749 0.7500
Nb 0.7251 0.0000 0.7500
Nb 0.7251 0.7251 0.2500
Al 0.0000 0.1474 0.7500
Al 0.0000 0.1593 0.1151
Al 0.0000 0.1593 0.3849
Al 0.0000 0.2574 0.5304
Al 0.0000 0.2574 0.9696
Al 0.0000 0.7426 0.0304
Al 0.0000 0.7426 0.4696
Al 0.0000 0.8407 0.6151
Al 0.0000 0.8407 0.8849
Al 0.0000 0.8526 0.2500
Al 0.1474 0.0000 0.7500
Al 0.1474 0.1474 0.2500
Al 0.1501 0.5546 0.2500
Al 0.1501 0.5955 0.7500
Al 0.1566 0.3949 0.6631
Al 0.1566 0.3949 0.8369
Al 0.1566 0.7617 0.1631
Al 0.1566 0.7617 0.3369
Al 0.1593 0.0000 0.1151
Al 0.1593 0.0000 0.3849
Al 0.1593 0.1593 0.6151
Al 0.1593 0.1593 0.8849
Al 0.2383 0.3949 0.1631
Al 0.2383 0.3949 0.3369
Al 0.2383 0.8434 0.6631
Al 0.2383 0.8434 0.8369
Al 0.2471 0.4943 0.0000
Al 0.2471 0.4943 0.5000
Al 0.2471 0.7529 0.0000
Al 0.2471 0.7529 0.5000
Al 0.2574 0.0000 0.5304
Al 0.2574 0.0000 0.9696
Al 0.2574 0.2574 0.0304
Al 0.2574 0.2574 0.4696
Al 0.3333 0.6667 0.1262
Al 0.3333 0.6667 0.3738
Al 0.3333 0.6667 0.6262
Al 0.3333 0.6667 0.8738
Al 0.3949 0.1566 0.6631
Al 0.3949 0.1566 0.8369
Al 0.3949 0.2383 0.1631
Al 0.3949 0.2383 0.3369
Al 0.4045 0.5546 0.7500
Al 0.4045 0.8499 0.2500
Al 0.4454 0.5955 0.2500
Al 0.4454 0.8499 0.7500
Al 0.4943 0.2471 0.0000
Al 0.4943 0.2471 0.5000
Al 0.5057 0.7529 0.0000
Al 0.5057 0.7529 0.5000
Al 0.5546 0.1501 0.2500
Al 0.5546 0.4045 0.7500
Al 0.5955 0.1501 0.7500
Al 0.5955 0.4454 0.2500
Al 0.6051 0.7617 0.6631
Al 0.6051 0.7617 0.8369
Al 0.6051 0.8434 0.1631
Al 0.6051 0.8434 0.3369
Al 0.6667 0.3333 0.1262
Al 0.6667 0.3333 0.3738
Al 0.6667 0.3333 0.6262
Al 0.6667 0.3333 0.8738
Al 0.7426 0.0000 0.0304
Al 0.7426 0.0000 0.4696
Al 0.7426 0.7426 0.5304
Al 0.7426 0.7426 0.9696
Al 0.7529 0.2471 0.0000
Al 0.7529 0.2471 0.5000
Al 0.7529 0.5057 0.0000
Al 0.7529 0.5057 0.5000
Al 0.7617 0.1566 0.1631
Al 0.7617 0.1566 0.3369
Al 0.7617 0.6051 0.6631
Al 0.7617 0.6051 0.8369
Al 0.8407 0.0000 0.6151
Al 0.8407 0.0000 0.8849
Al 0.8407 0.8407 0.1151
Al 0.8407 0.8407 0.3849
Al 0.8434 0.2383 0.6631
Al 0.8434 0.2383 0.8369
Al 0.8434 0.6051 0.1631
Al 0.8434 0.6051 0.3369
Al 0.8499 0.4045 0.2500
Al 0.8499 0.4454 0.7500
Al 0.8526 0.0000 0.2500
Al 0.8526 0.8526 0.7500

Output
Magnetization = 0.004 μB per atom
Formation enthalpy at 0 K = -1603 kJ/mol of formula units
Energy = -490.399 eV for the cell shown

(12)
DFT (PBE-GGA) results for an optimized crystal structure of LuAl8Ni3.

Lattice parameters (Å, degrees): 6.7991 7.5726 7.5726 29.64 90.00 90.00
Element x y z (fractional)
Lu 0.0000 0.0000 0.0000
Al 0.0000 0.8007 0.8007
Al 0.2099 0.1939 0.1939
Al 0.2677 0.3698 0.3698
Al 0.3073 0.5630 0.5630
Al 0.5000 0.9407 0.9407
Al 0.6927 0.5630 0.5630
Al 0.7323 0.3698 0.3698
Al 0.7901 0.1939 0.1939
Ni 0.0000 0.6413 0.6413
Ni 0.5000 0.1039 0.1039
Ni 0.5000 0.7510 0.7510

Output
Magnetization = 0.000 μB per atom
Formation enthalpy at 0 K = -346 kJ/mol of formula units
Energy = -55.414 eV for the cell shown